A plane-wave DFT calculation with PBE was carried out for crystalline Na42Mg16Ta8Si21S15O144 at its relaxed geometry.

Properties
DFT formation energy, eV/atom: -2.624
Energy with MP2020 corrections, eV for the cell shown: -1709.9

Cell and atoms, written as CIF:
```
data_Na42Mg16Ta8Si21S15O144
_chemical_formula_sum 'Na42 Mg16 Ta8 Si21 S15 O144'
_cell_length_a 9.070
_cell_length_b 15.765
_cell_length_c 22.308
_cell_angle_alpha 89.82
_cell_angle_beta 89.90
_cell_angle_gamma 89.86
_space_group_name_H-M_alt 'P 1'
_space_group_IT_number 1
loop_
_space_group_symop_operation_xyz
'x,y,z'
loop_
_atom_site_label
_atom_site_type_symbol
_atom_site_fract_x
_atom_site_fract_y
_atom_site_fract_z
Na1 Na 0.000 0.000 0.000
Na2 Na 0.002 0.687 0.334
Na3 Na 0.102 0.503 0.503
Na4 Na 0.112 0.185 0.838
Na5 Na 0.115 0.835 0.164
Na6 Na 0.124 0.803 0.846
Na7 Na 0.129 0.148 0.489
Na8 Na 0.156 0.493 0.839
Na9 Na 0.165 0.829 0.488
Na10 Na 0.292 0.669 0.912
Na11 Na 0.294 0.672 0.412
Na12 Na 0.306 0.326 0.748
Na13 Na 0.307 0.988 0.581
Na14 Na 0.313 0.319 0.245
Na15 Na 0.318 0.997 0.077
Na16 Na 0.436 0.489 0.326
Na17 Na 0.438 0.840 0.998
Na18 Na 0.451 0.169 0.670
Na19 Na 0.464 0.143 0.004
Na20 Na 0.476 0.808 0.336
Na21 Na 0.490 0.185 0.325
Na22 Na 0.496 0.499 0.007
Na23 Na 0.515 0.837 0.665
Na24 Na 0.600 0.336 0.162
Na25 Na 0.618 0.999 0.506
Na26 Na 0.626 0.688 0.829
Na27 Na 0.638 0.307 0.840
Na28 Na 0.650 0.655 0.503
Na29 Na 0.665 0.670 0.167
Na30 Na 0.680 0.986 0.838
Na31 Na 0.685 0.332 0.494
Na32 Na 0.799 0.820 0.749
Na33 Na 0.806 0.488 0.079
Na34 Na 0.807 0.826 0.245
Na35 Na 0.808 0.498 0.583
Na36 Na 0.818 0.166 0.915
Na37 Na 0.821 0.166 0.409
Na38 Na 0.946 0.326 0.991
Na39 Na 0.955 0.992 0.335
Na40 Na 0.982 0.651 0.990
Na41 Na 0.989 0.301 0.342
Na42 Na 0.995 0.334 0.667
Mg1 Mg 0.296 0.320 0.907
Mg2 Mg 0.299 0.317 0.395
Mg3 Mg 0.301 0.987 0.430
Mg4 Mg 0.303 0.325 0.605
Mg5 Mg 0.304 0.665 0.264
Mg6 Mg 0.307 0.988 0.943
Mg7 Mg 0.308 0.664 0.773
Mg8 Mg 0.321 0.319 0.104
Mg9 Mg 0.793 0.819 0.604
Mg10 Mg 0.804 0.829 0.102
Mg11 Mg 0.806 0.164 0.272
Mg12 Mg 0.808 0.165 0.764
Mg13 Mg 0.812 0.826 0.900
Mg14 Mg 0.813 0.487 0.931
Mg15 Mg 0.817 0.488 0.439
Mg16 Mg 0.818 0.820 0.405
Ta1 Ta 0.300 0.664 0.074
Ta2 Ta 0.303 0.995 0.230
Ta3 Ta 0.314 0.662 0.565
Ta4 Ta 0.316 0.992 0.730
Ta5 Ta 0.793 0.157 0.061
Ta6 Ta 0.797 0.490 0.228
Ta7 Ta 0.808 0.495 0.732
Ta8 Ta 0.815 0.163 0.574
Si1 Si 0.007 0.660 0.173
Si2 Si 0.015 0.325 0.503
Si3 Si 0.098 0.823 0.004
Si4 Si 0.106 0.159 0.673
Si5 Si 0.156 0.842 0.336
Si6 Si 0.157 0.139 0.338
Si7 Si 0.160 0.180 0.002
Si8 Si 0.438 0.511 0.172
Si9 Si 0.453 0.844 0.839
Si10 Si 0.463 0.810 0.174
Si11 Si 0.513 0.832 0.500
Si12 Si 0.514 0.159 0.174
Si13 Si 0.601 0.332 0.000
Si14 Si 0.602 0.657 0.673
Si15 Si 0.652 0.311 0.672
Si16 Si 0.658 0.345 0.340
Si17 Si 0.661 0.968 0.998
Si18 Si 0.674 0.011 0.672
Si19 Si 0.953 0.678 0.502
Si20 Si 0.956 0.641 0.838
Si21 Si 0.958 0.341 0.836
S1 S 0.021 0.994 0.835
S2 S 0.096 0.494 0.336
S3 S 0.160 0.805 0.669
S4 S 0.163 0.515 0.670
S5 S 0.164 0.474 0.003
S6 S 0.448 0.472 0.502
S7 S 0.452 0.137 0.835
S8 S 0.458 0.179 0.502
S9 S 0.516 0.492 0.835
S10 S 0.597 0.992 0.336
S11 S 0.655 0.677 0.002
S12 S 0.662 0.635 0.336
S13 S 0.950 0.974 0.504
S14 S 0.951 0.016 0.171
S15 S 0.955 0.305 0.170
O1 O 0.001 0.489 0.999
O2 O 0.003 0.833 0.064
O3 O 0.004 0.820 0.659
O4 O 0.005 0.177 0.729
O5 O 0.005 0.797 0.944
O6 O 0.007 0.507 0.390
O7 O 0.106 0.675 0.231
O8 O 0.109 0.006 0.889
O9 O 0.111 0.304 0.444
O10 O 0.111 0.322 0.161
O11 O 0.112 0.988 0.499
O12 O 0.114 0.339 0.563
O13 O 0.120 0.008 0.173
O14 O 0.120 0.643 0.113
O15 O 0.125 0.988 0.781
O16 O 0.134 0.643 0.827
O17 O 0.137 0.661 0.516
O18 O 0.140 0.341 0.833
O19 O 0.156 0.236 0.940
O20 O 0.186 0.415 0.338
O21 O 0.187 0.084 0.398
O22 O 0.189 0.755 0.723
O23 O 0.192 0.420 0.055
O24 O 0.192 0.567 0.615
O25 O 0.194 0.568 0.330
O26 O 0.202 0.908 0.278
O27 O 0.207 0.904 0.000
O28 O 0.208 0.070 0.675
O29 O 0.214 0.238 0.662
O30 O 0.214 0.733 0.010
O31 O 0.219 0.556 0.723
O32 O 0.222 0.083 0.994
O33 O 0.223 0.429 0.664
O34 O 0.226 0.438 0.947
O35 O 0.229 0.883 0.395
O36 O 0.232 0.748 0.331
O37 O 0.233 0.763 0.615
O38 O 0.236 0.232 0.334
O39 O 0.237 0.083 0.281
O40 O 0.238 0.561 0.009
O41 O 0.240 0.227 0.056
O42 O 0.241 0.890 0.672
O43 O 0.366 0.900 0.176
O44 O 0.373 0.561 0.510
O45 O 0.373 0.759 0.115
O46 O 0.374 0.892 0.893
O47 O 0.380 0.751 0.832
O48 O 0.382 0.222 0.834
O49 O 0.382 0.416 0.164
O50 O 0.382 0.439 0.447
O51 O 0.387 0.093 0.778
O52 O 0.393 0.093 0.497
O53 O 0.393 0.558 0.232
O54 O 0.396 0.219 0.556
O55 O 0.398 0.913 0.496
O56 O 0.402 0.741 0.511
O57 O 0.407 0.907 0.777
O58 O 0.411 0.241 0.166
O59 O 0.414 0.070 0.177
O60 O 0.414 0.086 0.887
O61 O 0.419 0.566 0.827
O62 O 0.422 0.419 0.554
O63 O 0.423 0.575 0.112
O64 O 0.427 0.413 0.838
O65 O 0.436 0.232 0.448
O66 O 0.437 0.752 0.232
O67 O 0.478 0.344 0.340
O68 O 0.480 0.005 0.675
O69 O 0.481 0.320 0.657
O70 O 0.487 0.645 0.612
O71 O 0.488 0.667 0.008
O72 O 0.488 0.992 0.995
O73 O 0.491 0.668 0.728
O74 O 0.496 0.979 0.283
O75 O 0.500 0.642 0.332
O76 O 0.505 0.350 0.059
O77 O 0.507 0.308 0.940
O78 O 0.509 0.007 0.391
O79 O 0.605 0.507 0.890
O80 O 0.607 0.805 0.441
O81 O 0.608 0.490 0.496
O82 O 0.608 0.846 0.559
O83 O 0.614 0.143 0.830
O84 O 0.619 0.170 0.231
O85 O 0.619 0.480 0.782
O86 O 0.625 0.169 0.507
O87 O 0.626 0.148 0.113
O88 O 0.633 0.841 0.836
O89 O 0.634 0.505 0.176
O90 O 0.635 0.817 0.162
O91 O 0.671 0.251 0.730
O92 O 0.678 0.730 0.948
O93 O 0.687 0.907 0.055
O94 O 0.687 0.913 0.339
O95 O 0.691 0.076 0.611
O96 O 0.695 0.066 0.328
O97 O 0.697 0.584 0.389
O98 O 0.701 0.568 0.675
O99 O 0.701 0.740 0.665
O100 O 0.705 0.409 0.279
O101 O 0.709 0.243 0.011
O102 O 0.715 0.413 0.996
O103 O 0.718 0.714 0.056
O104 O 0.719 0.590 0.996
O105 O 0.720 0.059 0.731
O106 O 0.727 0.591 0.280
O107 O 0.731 0.720 0.336
O108 O 0.731 0.916 0.663
O109 O 0.732 0.392 0.397
O110 O 0.733 0.252 0.333
O111 O 0.741 0.259 0.614
O112 O 0.742 0.067 0.010
O113 O 0.747 0.938 0.938
O114 O 0.749 0.400 0.674
O115 O 0.875 0.393 0.175
O116 O 0.876 0.061 0.509
O117 O 0.876 0.584 0.780
O118 O 0.877 0.733 0.835
O119 O 0.879 0.726 0.557
O120 O 0.880 0.248 0.831
O121 O 0.880 0.583 0.495
O122 O 0.881 0.268 0.117
O123 O 0.884 0.385 0.894
O124 O 0.887 0.938 0.447
O125 O 0.894 0.929 0.166
O126 O 0.896 0.057 0.225
O127 O 0.899 0.739 0.162
O128 O 0.901 0.406 0.501
O129 O 0.904 0.235 0.509
O130 O 0.906 0.570 0.178
O131 O 0.911 0.407 0.776
O132 O 0.921 0.920 0.555
O133 O 0.922 0.068 0.828
O134 O 0.923 0.067 0.116
O135 O 0.926 0.257 0.224
O136 O 0.926 0.583 0.897
O137 O 0.936 0.914 0.834
O138 O 0.956 0.734 0.440
O139 O 0.974 0.841 0.334
O140 O 0.977 0.169 0.018
O141 O 0.979 0.144 0.328
O142 O 0.994 0.143 0.612
O143 O 0.995 0.484 0.283
O144 O 0.995 0.507 0.672
```

***

A plane-wave DFT calculation with PBE was carried out for crystalline BaO2 at its relaxed geometry.

Properties
DFT formation energy, eV/atom: -2.129
Energy with MP2020 corrections, eV for the cell shown: -145.6

Cell and atoms, written as CIF:
```
data_BaO2
_chemical_formula_sum 'Ba8 O16'
_cell_length_a 7.888
_cell_length_b 7.894
_cell_length_c 8.227
_cell_angle_alpha 90.00
_cell_angle_beta 119.79
_cell_angle_gamma 90.00
_space_group_name_H-M_alt 'P 1 21/c 1'
_space_group_IT_number 14
loop_
_space_group_symop_operation_xyz
'x,y,z'
'-x,-y,-z'
'-x,y+1/2,-z+1/2'
'x,-y+1/2,z+1/2'
loop_
_atom_site_label
_atom_site_type_symbol
_atom_site_fract_x
_atom_site_fract_y
_atom_site_fract_z
Ba1 Ba 0.011 0.147 0.189
Ba2 Ba 0.457 0.512 0.230
O1 O 0.221 0.687 0.689
O2 O 0.251 0.220 0.043
O3 O 0.274 0.108 0.906
O4 O 0.274 0.608 0.876
```

***

A plane-wave DFT calculation with PBE was carried out for crystalline NaSrTbBiO6 at its relaxed geometry.

Properties
DFT formation energy, eV/atom: -2.371
Energy with MP2020 corrections, eV for the cell shown: -259.7
Excess energy over the best structure of this formula in the dataset, kJ per mole of atoms: 0.00

Cell and atoms, written as CIF:
```
data_NaSrTbBiO6
_chemical_formula_sum 'Na4 Sr4 Tb4 Bi4 O24'
_cell_length_a 8.479
_cell_length_b 8.501
_cell_length_c 8.530
_cell_angle_alpha 90.00
_cell_angle_beta 90.00
_cell_angle_gamma 90.00
_space_group_name_H-M_alt 'P n n n'
_space_group_IT_number 48
loop_
_space_group_symop_operation_xyz
'x,y,z'
'-x,-y,-z'
'-x+1/2,-y+1/2,z'
'x+1/2,y+1/2,-z'
'x,-y+1/2,-z+1/2'
'-x,y+1/2,z+1/2'
'-x+1/2,y,-z+1/2'
'x+1/2,-y,z+1/2'
loop_
_atom_site_label
_atom_site_type_symbol
_atom_site_fract_x
_atom_site_fract_y
_atom_site_fract_z
Na1 Na 0.250 0.250 0.250
Na2 Na 0.250 0.750 0.750
Sr1 Sr 0.250 0.250 0.750
Sr2 Sr 0.250 0.750 0.250
Tb1 Tb 0.000 0.000 0.000
Bi1 Bi 0.000 0.000 0.500
O1 O 0.012 0.054 0.743
O2 O 0.062 0.241 0.467
O3 O 0.242 0.563 0.003
```

***

A plane-wave DFT calculation with PBE was carried out for crystalline Ar at its relaxed geometry.

Properties
DFT formation energy, eV/atom: 0.000

Cell and atoms, written as CIF:
```
data_Ar
_chemical_formula_sum 'Ar2'
_cell_length_a 3.9876
_cell_length_b 3.9876
_cell_length_c 6.5384
_cell_angle_alpha 90.00
_cell_angle_beta 90.00
_cell_angle_gamma 120.00
_space_group_name_H-M_alt 'P 63/m m c'
_space_group_IT_number 194
_space_group_name_Hall '-P 6c 2c'
loop_
_atom_site_label
_atom_site_type_symbol
_atom_site_fract_x
_atom_site_fract_y
_atom_site_fract_z
Ar1 Ar 0.3333 0.6667 0.2500
```

***

A plane-wave DFT calculation with PBE was carried out for crystalline Ca2TiRuO6 at its relaxed geometry.

Properties
DFT formation energy, eV/atom: -2.888
Energy with MP2020 corrections, eV for the cell shown: -159.5

Cell and atoms, written as CIF:
```
data_Ca2TiRuO6
_chemical_formula_sum 'Ca4 Ti2 Ru2 O12'
_cell_length_a 5.430
_cell_length_b 5.533
_cell_length_c 9.443
_cell_angle_alpha 90.00
_cell_angle_beta 124.98
_cell_angle_gamma 90.00
_space_group_name_H-M_alt 'P 1 21/c 1'
_space_group_IT_number 14
loop_
_space_group_symop_operation_xyz
'x,y,z'
'-x,-y,-z'
'-x,y+1/2,-z+1/2'
'x,-y+1/2,z+1/2'
loop_
_atom_site_label
_atom_site_type_symbol
_atom_site_fract_x
_atom_site_fract_y
_atom_site_fract_z
Ca1 Ca 0.240 0.046 0.250
Ti1 Ti 0.500 0.000 0.000
Ru1 Ru 0.000 0.000 0.500
O1 O 0.165 0.206 0.958
O2 O 0.254 0.710 0.957
O3 O 0.335 0.023 0.752
```

***

A plane-wave DFT calculation with PBE was carried out for crystalline HoTmPd2 at its relaxed geometry.

Properties
DFT formation energy, eV/atom: -0.927

Cell and atoms, written as CIF:
```
data_HoTmPd2
_chemical_formula_sum 'Ho4 Tm4 Pd8'
_cell_length_a 6.956
_cell_length_b 6.956
_cell_length_c 6.956
_cell_angle_alpha 90.00
_cell_angle_beta 90.00
_cell_angle_gamma 90.00
_space_group_name_H-M_alt 'F m -3 m'
_space_group_IT_number 225
_space_group_name_Hall '-F 4 2 3'
loop_
_atom_site_label
_atom_site_type_symbol
_atom_site_fract_x
_atom_site_fract_y
_atom_site_fract_z
Ho1 Ho 0.000 0.000 0.000
Tm1 Tm 0.000 0.000 0.500
Pd1 Pd 0.250 0.250 0.250
```

***

A plane-wave DFT calculation with PBE was carried out for crystalline Er2PtAu at its relaxed geometry.

Properties
DFT formation energy, eV/atom: -1.101

Cell and atoms, written as CIF:
```
data_Er2PtAu
_chemical_formula_sum 'Er4 Pt2 Au2'
_cell_length_a 4.634
_cell_length_b 5.581
_cell_length_c 6.962
_cell_angle_alpha 90.00
_cell_angle_beta 90.00
_cell_angle_gamma 90.00
_space_group_name_H-M_alt 'P m c 21'
_space_group_IT_number 26
loop_
_space_group_symop_operation_xyz
'x,y,z'
'-x,-y,z+1/2'
'-x,y,z'
'x,-y,z+1/2'
loop_
_atom_site_label
_atom_site_type_symbol
_atom_site_fract_x
_atom_site_fract_y
_atom_site_fract_z
Er1 Er 0.000 0.103 0.000
Er2 Er 0.500 0.379 0.638
Pt1 Pt 0.500 0.100 0.275
Au1 Au 0.000 0.403 0.361
```

***

A plane-wave DFT calculation with PBE was carried out for crystalline BaSrYCu3PbO7 at its relaxed geometry.

Properties
DFT formation energy, eV/atom: -2.128
Energy with MP2020 corrections, eV for the cell shown: -181.0

Cell and atoms, written as CIF:
```
data_BaSrYCu3PbO7
_chemical_formula_sum 'Ba2 Sr2 Y2 Cu6 Pb2 O14'
_cell_length_a 28.351
_cell_length_b 3.850
_cell_length_c 3.866
_cell_angle_alpha 90.00
_cell_angle_beta 97.21
_cell_angle_gamma 90.00
_space_group_name_H-M_alt 'C 1 m 1'
_space_group_IT_number 8
loop_
_space_group_symop_operation_xyz
'x,y,z'
'x,-y,z'
'x+1/2,y+1/2,z'
'x+1/2,-y+1/2,z'
loop_
_atom_site_label
_atom_site_type_symbol
_atom_site_fract_x
_atom_site_fract_y
_atom_site_fract_z
Ba1 Ba 0.000 0.000 0.000
Sr1 Sr 0.243 0.500 0.750
Y1 Y 0.369 0.500 0.879
Cu1 Cu 0.161 0.000 0.137
Cu2 Cu 0.309 0.000 0.320
Cu3 Cu 0.427 0.000 0.435
Pb1 Pb 0.099 0.500 0.606
O1 O 0.020 0.500 0.513
O2 O 0.096 0.000 0.004
O3 O 0.225 0.000 0.257
O4 O 0.316 0.000 0.827
O5 O 0.316 0.500 0.328
O6 O 0.419 0.000 0.928
O7 O 0.419 0.500 0.428
```

***

A plane-wave DFT calculation with PBE was carried out for crystalline Lu5Si3C at its relaxed geometry.

Properties
DFT formation energy, eV/atom: -0.644

Cell and atoms, written as CIF:
```
data_Lu5Si3C
_chemical_formula_sum 'Lu10 Si6 C2'
_cell_length_a 8.2400
_cell_length_b 8.2400
_cell_length_c 6.2361
_cell_angle_alpha 90.00
_cell_angle_beta 90.00
_cell_angle_gamma 120.00
_space_group_name_H-M_alt 'P 63/m c m'
_space_group_IT_number 193
_space_group_name_Hall '-P 6c 2'
loop_
_atom_site_label
_atom_site_type_symbol
_atom_site_fract_x
_atom_site_fract_y
_atom_site_fract_z
Lu1 Lu 0.0000 0.2225 0.2500
Lu2 Lu 0.3333 0.6667 0.0000
Si1 Si 0.0000 0.4072 0.7500
C1 C 0.0000 0.0000 0.0000
```